(1)
Compound: SrAlGe
Source: Materials Project
Functional: meta-GGA r2SCAN
Structure: relaxed

Geometry as POSCAR:
```
SrAlGe
1.0
-0.2759 -2.2737 -3.6351
3.8478 1.1440 1.5316
0.2022 -4.0550 2.5210
Sr Al Ge
1 1 1
direct
0.0000 0.0000 0.0000
0.6667 0.3333 0.5000
0.3333 0.6667 0.5000
```

Computed properties:
Space group   P-6m2 (187)
Calculated density   4.07 g/cm3

=====

(2)
Compound: Sr3Al2Ge2
Source: Materials Project
Functional: meta-GGA r2SCAN
Structure: relaxed

Geometry as POSCAR:
```
Sr3Al2Ge2
1.0
-1.0916 -3.1993 -2.5456
3.6352 -2.6804 1.8099
-7.1701 -0.4619 7.1725
Sr Al Ge
3 2 2
direct
0.8154 0.8154 0.6308
0.5000 0.0000 0.0000
0.1846 0.1846 0.3692
0.9334 0.4335 0.8669
0.0666 0.5665 0.1331
0.3595 0.3601 0.7190
0.6405 0.6399 0.2810
```

Computed properties:
Space group   Immm (71)
Calculated density   3.87 g/cm3

=====

(3)
Compound: TbAlGe
Source: Materials Project
Functional: meta-GGA r2SCAN
Structure: relaxed

Geometry as POSCAR:
```
TbAlGe
1.0
-4.8936 2.0316 -1.8674
2.1179 -4.9523 1.5974
-1.6316 1.0498 5.4179
Tb Al Ge
2 2 2
direct
0.6897 0.3103 0.2500
0.3103 0.6897 0.7500
0.0000 0.0000 0.0000
0.0000 0.0000 0.5000
0.3948 0.6052 0.2500
0.6052 0.3948 0.7500
```

Computed properties:
Space group   Cmcm (63)
Calculated density   7.05 g/cm3

=====

no.,formation energy (eV/atom)
1,-0.55
2,-0.59
3,-0.73